[1]
Mg14ZnBi PBE relaxed; VASP energy = -27.6 eV per cell; total magnetic moment = 0.0 μB/f.u.; distance to the lowest polymorph of the same formula = 14 meV per atom
1.0
-6.221 1.247 -0.082
2.252 -5.554 2.522
0.788 4.537 9.287
Mg Zn Bi
14 1 1
Direct
0.168 0.834 0.625 Mg
0.333 0.661 0.875 Mg
0.668 0.334 0.125 Mg
0.836 0.168 0.374 Mg
0.830 0.665 0.871 Mg
0.836 0.168 0.876 Mg
0.667 0.833 0.625 Mg
0.168 0.334 0.625 Mg
0.667 0.333 0.625 Mg
0.333 0.172 0.375 Mg
0.668 0.835 0.125 Mg
0.333 0.172 0.875 Mg
0.830 0.665 0.379 Mg
0.333 0.661 0.375 Mg
0.164 0.332 0.125 Zn
0.167 0.834 0.125 Bi

[2]
Mg14ZrBi PBE relaxed; VASP energy = -35.1 eV per cell; total magnetic moment = 0.0 μB/f.u.; distance to the lowest polymorph of the same formula = 0 meV per atom
1.0
-5.936 0.105 -2.508
4.641 -3.073 -3.065
-2.345 -8.715 5.186
Mg Zr Bi
14 1 1
Direct
0.667 0.331 0.125 Mg
0.667 0.836 0.125 Mg
0.335 0.663 0.379 Mg
0.666 0.333 0.625 Mg
0.836 0.168 0.375 Mg
0.166 0.833 0.625 Mg
0.335 0.663 0.871 Mg
0.829 0.664 0.871 Mg
0.829 0.664 0.379 Mg
0.836 0.168 0.875 Mg
0.666 0.833 0.625 Mg
0.335 0.172 0.379 Mg
0.335 0.172 0.871 Mg
0.166 0.333 0.625 Mg
0.167 0.334 0.125 Zr
0.164 0.832 0.125 Bi